! r²SCAN Y2MgCd, relaxed; values from VASP
&SYSTEM
  ibrav = 0, nat = 16, ntyp = 3
/
ATOMIC_SPECIES
Y 88.91 Y.upf
Mg 24.30 Mg.upf
Cd 112.41 Cd.upf
CELL_PARAMETERS angstrom
7.533 0.000 0.000
0.000 7.533 0.000
0.000 0.000 7.533
ATOMIC_POSITIONS crystal
Y 0.250 0.250 0.250
Y 0.250 0.250 0.750
Y 0.250 0.750 0.250
Y 0.250 0.750 0.750
Y 0.750 0.250 0.250
Y 0.750 0.250 0.750
Y 0.750 0.750 0.250
Y 0.750 0.750 0.750
Mg 0.000 0.000 0.000
Mg 0.000 0.500 0.500
Mg 0.500 0.000 0.500
Mg 0.500 0.500 0.000
Cd 0.000 0.000 0.500
Cd 0.000 0.500 0.000
Cd 0.500 0.000 0.000
Cd 0.500 0.500 0.500
! - E_form (eV/atom) = -0.25
! - spin magnetization (μB per atom) = 0.0005
! - space-group type = No. 225
! - DFT total energy (eV/atom) = -16.47



! r²SCAN AcMgCd2, relaxed; values from VASP
&SYSTEM
  ibrav = 0, nat = 16, ntyp = 3
/
ATOMIC_SPECIES
Ac 227.00 Ac.upf
Mg 24.30 Mg.upf
Cd 112.41 Cd.upf
CELL_PARAMETERS angstrom
7.628 0.000 0.000
0.000 7.628 0.000
0.000 0.000 7.628
ATOMIC_POSITIONS crystal
Ac 0.000 0.000 0.000
Ac 0.000 0.500 0.500
Ac 0.500 0.000 0.500
Ac 0.500 0.500 0.000
Mg 0.000 0.000 0.500
Mg 0.000 0.500 0.000
Mg 0.500 0.000 0.000
Mg 0.500 0.500 0.500
Cd 0.250 0.250 0.250
Cd 0.250 0.250 0.750
Cd 0.250 0.750 0.250
Cd 0.250 0.750 0.750
Cd 0.750 0.250 0.250
Cd 0.750 0.250 0.750
Cd 0.750 0.750 0.250
Cd 0.750 0.750 0.750
! - E_form (eV/atom) = -0.29
! - spin magnetization (μB per atom) = 0.0000
! - space-group type = No. 225
! - DFT total energy (eV/atom) = -28.55



! r²SCAN YbIn3, relaxed; values from VASP
&SYSTEM
  ibrav = 0, nat = 4, ntyp = 2
/
ATOMIC_SPECIES
Yb 173.04 Yb.upf
In 114.82 In.upf
CELL_PARAMETERS angstrom
4.580 0.000 0.000
0.000 4.580 0.000
0.000 0.000 4.580
ATOMIC_POSITIONS crystal
Yb 0.000 0.000 0.000
In 0.000 0.500 0.500
In 0.500 0.000 0.500
In 0.500 0.500 0.000
! - E_form (eV/atom) = -0.46
! - spin magnetization (μB per atom) = 0.0000
! - space-group type = No. 221
! - DFT total energy (eV/atom) = -26.53



! r²SCAN TlAuF6, relaxed; values from VASP
&SYSTEM
  ibrav = 0, nat = 64, ntyp = 3
/
ATOMIC_SPECIES
Tl 204.38 Tl.upf
Au 196.97 Au.upf
F 19.00 F.upf
CELL_PARAMETERS angstrom
5.751 0.000 0.000
0.000 5.751 0.000
0.000 0.000 27.979
ATOMIC_POSITIONS crystal
Tl 0.164 0.325 0.267
Tl 0.175 0.664 0.517
Tl 0.325 0.164 0.733
Tl 0.336 0.825 0.983
Tl 0.664 0.175 0.483
Tl 0.675 0.836 0.233
Tl 0.825 0.336 0.017
Tl 0.836 0.675 0.767
Au 0.007 0.815 0.633
Au 0.185 0.993 0.867
Au 0.315 0.493 0.383
Au 0.493 0.315 0.617
Au 0.507 0.685 0.117
Au 0.685 0.507 0.883
Au 0.815 0.007 0.367
Au 0.993 0.185 0.133
F 0.009 0.451 0.090
F 0.025 0.358 0.751
F 0.029 0.088 0.673
F 0.040 0.818 0.918
F 0.049 0.509 0.340
F 0.050 0.050 0.000
F 0.088 0.029 0.327
F 0.142 0.525 0.001
F 0.155 0.675 0.431
F 0.172 0.828 0.750
F 0.175 0.345 0.181
F 0.182 0.960 0.582
F 0.318 0.460 0.668
F 0.325 0.845 0.069
F 0.328 0.328 0.500
F 0.345 0.175 0.819
F 0.358 0.025 0.249
F 0.412 0.529 0.923
F 0.450 0.550 0.250
F 0.451 0.009 0.910
F 0.460 0.318 0.332
F 0.471 0.588 0.577
F 0.475 0.858 0.499
F 0.491 0.951 0.160
F 0.509 0.049 0.660
F 0.525 0.142 0.999
F 0.529 0.412 0.077
F 0.540 0.682 0.832
F 0.549 0.991 0.410
F 0.550 0.450 0.750
F 0.588 0.471 0.423
F 0.642 0.975 0.749
F 0.655 0.825 0.319
F 0.672 0.672 0.000
F 0.675 0.155 0.569
F 0.682 0.540 0.168
F 0.818 0.040 0.082
F 0.825 0.655 0.681
F 0.828 0.172 0.250
F 0.845 0.325 0.931
F 0.858 0.475 0.501
F 0.912 0.971 0.827
F 0.950 0.950 0.500
F 0.951 0.491 0.840
F 0.960 0.182 0.418
F 0.971 0.912 0.173
F 0.975 0.642 0.251
F 0.991 0.549 0.590
! - E_form (eV/atom) = -1.56
! - spin magnetization (μB per atom) = 0.0000
! - space-group type = No. 92
! - DFT total energy (eV/atom) = -16.87



! r²SCAN Ba2Eu3Si7, relaxed; values from VASP
&SYSTEM
  ibrav = 0, nat = 12, ntyp = 3
/
ATOMIC_SPECIES
Ba 137.33 Ba.upf
Eu 151.96 Eu.upf
Si 28.09 Si.upf
CELL_PARAMETERS angstrom
9.285 0.000 0.000
-4.643 8.041 0.000
0.000 0.000 4.107
ATOMIC_POSITIONS crystal
Ba 0.333 0.667 0.000
Ba 0.667 0.333 0.000
Eu 0.000 0.746 0.500
Eu 0.254 0.254 0.500
Eu 0.746 0.000 0.500
Si 0.000 0.000 0.000
Si 0.000 0.257 0.000
Si 0.000 0.398 0.500
Si 0.257 0.000 0.000
Si 0.398 0.000 0.500
Si 0.602 0.602 0.500
Si 0.743 0.743 0.000
! - E_form (eV/atom) = -0.56
! - spin magnetization (μB per atom) = 1.7747
! - space-group type = No. 189
! - DFT total energy (eV/atom) = -19.72



! r²SCAN PrBrO, relaxed; values from VASP
&SYSTEM
  ibrav = 0, nat = 6, ntyp = 3
/
ATOMIC_SPECIES
Pr 140.91 Pr.upf
Br 79.90 Br.upf
O 16.00 O.upf
CELL_PARAMETERS angstrom
4.093 0.000 0.000
0.000 4.093 0.000
0.000 0.000 7.643
ATOMIC_POSITIONS crystal
Pr 0.250 0.250 0.156
Pr 0.750 0.750 0.844
Br 0.250 0.250 0.643
Br 0.750 0.750 0.357
O 0.250 0.750 0.000
O 0.750 0.250 0.000
! - E_form (eV/atom) = -3.18
! - spin magnetization (μB per atom) = 0.0000
! - space-group type = No. 129
! - DFT total energy (eV/atom) = -19.39



! r²SCAN SiO2, relaxed; values from VASP
&SYSTEM
  ibrav = 0, nat = 48, ntyp = 2
/
ATOMIC_SPECIES
Si 28.09 Si.upf
O 16.00 O.upf
CELL_PARAMETERS angstrom
8.231 -10.108 0.000
8.231 10.108 0.000
0.000 0.000 5.056
ATOMIC_POSITIONS crystal
Si 0.027 0.787 0.056
Si 0.111 0.262 0.552
Si 0.123 0.500 0.564
Si 0.185 0.630 0.062
Si 0.213 0.973 0.944
Si 0.262 0.111 0.448
Si 0.370 0.815 0.938
Si 0.500 0.123 0.436
Si 0.500 0.877 0.436
Si 0.630 0.185 0.938
Si 0.738 0.889 0.448
Si 0.787 0.027 0.944
Si 0.815 0.370 0.062
Si 0.877 0.500 0.564
Si 0.889 0.738 0.552
Si 0.973 0.213 0.056
O 0.000 0.500 0.534
O 0.017 0.212 0.353
O 0.069 0.236 0.851
O 0.094 0.696 0.028
O 0.101 0.899 0.000
O 0.145 0.386 0.502
O 0.162 0.532 0.860
O 0.187 0.585 0.359
O 0.212 0.017 0.647
O 0.212 0.212 0.500
O 0.236 0.069 0.149
O 0.297 0.703 0.000
O 0.304 0.906 0.972
O 0.386 0.145 0.498
O 0.415 0.813 0.641
O 0.468 0.838 0.140
O 0.500 0.000 0.466
O 0.532 0.162 0.140
O 0.585 0.187 0.641
O 0.614 0.855 0.498
O 0.696 0.094 0.972
O 0.703 0.297 0.000
O 0.764 0.931 0.149
O 0.788 0.788 0.500
O 0.788 0.983 0.647
O 0.813 0.415 0.359
O 0.838 0.468 0.860
O 0.855 0.614 0.502
O 0.899 0.101 0.000
O 0.906 0.304 0.028
O 0.931 0.764 0.851
O 0.983 0.788 0.353
! - E_form (eV/atom) = -3.03
! - spin magnetization (μB per atom) = 0.0000
! - space-group type = No. 21
! - DFT total energy (eV/atom) = -9.93



! r²SCAN LaGe3Ir, relaxed; values from VASP
&SYSTEM
  ibrav = 0, nat = 10, ntyp = 3
/
ATOMIC_SPECIES
La 138.91 La.upf
Ge 72.64 Ge.upf
Ir 192.22 Ir.upf
CELL_PARAMETERS angstrom
4.447 0.000 0.000
0.000 4.447 0.000
0.000 0.000 10.104
ATOMIC_POSITIONS crystal
La 0.000 0.000 0.000
La 0.500 0.500 0.500
Ge 0.000 0.000 0.422
Ge 0.000 0.500 0.264
Ge 0.000 0.500 0.764
Ge 0.500 0.000 0.264
Ge 0.500 0.000 0.764
Ge 0.500 0.500 0.922
Ir 0.000 0.000 0.660
Ir 0.500 0.500 0.160
! - E_form (eV/atom) = -0.79
! - spin magnetization (μB per atom) = 0.0000
! - space-group type = No. 107
! - DFT total energy (eV/atom) = -25.54



! r²SCAN PaC, relaxed; values from VASP
&SYSTEM
  ibrav = 0, nat = 8, ntyp = 2
/
ATOMIC_SPECIES
Pa 231.04 Pa.upf
C 12.01 C.upf
CELL_PARAMETERS angstrom
5.088 0.000 0.000
0.000 5.088 0.000
0.000 0.000 5.088
ATOMIC_POSITIONS crystal
Pa 0.000 0.000 0.000
Pa 0.000 0.500 0.500
Pa 0.500 0.000 0.500
Pa 0.500 0.500 0.000
C 0.000 0.000 0.500
C 0.000 0.500 0.000
C 0.500 0.000 0.000
C 0.500 0.500 0.500
! - E_form (eV/atom) = -0.59
! - spin magnetization (μB per atom) = 0.0000
! - space-group type = No. 225
! - DFT total energy (eV/atom) = -43.99



! r²SCAN CaRh2, relaxed; values from VASP
&SYSTEM
  ibrav = 0, nat = 6, ntyp = 2
/
ATOMIC_SPECIES
Ca 40.08 Ca.upf
Rh 102.91 Rh.upf
CELL_PARAMETERS angstrom
0.000 3.757 3.757
3.757 0.000 3.757
3.757 3.757 0.000
ATOMIC_POSITIONS crystal
Ca 0.125 0.125 0.125
Ca 0.875 0.875 0.875
Rh 0.000 0.500 0.500
Rh 0.500 0.000 0.500
Rh 0.500 0.500 0.000
Rh 0.500 0.500 0.500
! - E_form (eV/atom) = -0.44
! - spin magnetization (μB per atom) = 0.0000
! - space-group type = No. 227
! - DFT total energy (eV/atom) = -18.87



! r²SCAN ZrCo6Ge6, relaxed; values from VASP
&SYSTEM
  ibrav = 0, nat = 13, ntyp = 3
/
ATOMIC_SPECIES
Zr 91.22 Zr.upf
Co 58.93 Co.upf
Ge 72.64 Ge.upf
CELL_PARAMETERS angstrom
5.023 0.000 0.000
-2.512 4.350 0.000
0.000 0.000 7.675
ATOMIC_POSITIONS crystal
Zr 0.000 0.000 0.000
Co 0.000 0.500 0.250
Co 0.000 0.500 0.750
Co 0.500 0.000 0.250
Co 0.500 0.000 0.750
Co 0.500 0.500 0.250
Co 0.500 0.500 0.750
Ge 0.000 0.000 0.340
Ge 0.000 0.000 0.660
Ge 0.333 0.667 0.000
Ge 0.333 0.667 0.500
Ge 0.667 0.333 0.000
Ge 0.667 0.333 0.500
! - E_form (eV/atom) = -0.21
! - spin magnetization (μB per atom) = 0.0000
! - space-group type = No. 191
! - DFT total energy (eV/atom) = -14.47



! r²SCAN Nd4Rh, relaxed; values from VASP
&SYSTEM
  ibrav = 0, nat = 15, ntyp = 2
/
ATOMIC_SPECIES
Nd 144.24 Nd.upf
Rh 102.91 Rh.upf
CELL_PARAMETERS angstrom
6.519 0.000 0.000
0.000 10.051 0.000
-0.035 0.000 7.216
ATOMIC_POSITIONS crystal
Nd 0.000 0.000 0.000
Nd 0.015 0.316 0.710
Nd 0.015 0.684 0.710
Nd 0.178 0.319 0.211
Nd 0.178 0.681 0.211
Nd 0.202 0.000 0.499
Nd 0.502 0.500 0.558
Nd 0.526 0.179 0.863
Nd 0.526 0.821 0.863
Nd 0.676 0.184 0.362
Nd 0.676 0.816 0.362
Nd 0.694 0.500 0.076
Rh 0.418 0.000 0.157
Rh 0.786 0.000 0.657
Rh 0.924 0.500 0.416
! - E_form (eV/atom) = -0.34
! - spin magnetization (μB per atom) = 0.1249
! - space-group type = No. 6
! - DFT total energy (eV/atom) = -28.70



! r²SCAN Na3ScF6, relaxed; values from VASP
&SYSTEM
  ibrav = 0, nat = 20, ntyp = 3
/
ATOMIC_SPECIES
Na 22.99 Na.upf
Sc 44.96 Sc.upf
F 19.00 F.upf
CELL_PARAMETERS angstrom
5.518 0.000 0.000
0.000 5.781 0.000
-5.356 0.000 8.014
ATOMIC_POSITIONS crystal
Na 0.000 0.000 0.000
Na 0.000 0.500 0.500
Na 0.221 0.060 0.741
Na 0.221 0.440 0.241
Na 0.779 0.560 0.759
Na 0.779 0.940 0.259
Sc 0.500 0.000 0.500
Sc 0.500 0.500 0.000
F 0.144 0.179 0.444
F 0.144 0.321 0.944
F 0.248 0.712 0.420
F 0.248 0.788 0.920
F 0.396 0.069 0.267
F 0.396 0.431 0.767
F 0.604 0.569 0.233
F 0.604 0.931 0.733
F 0.752 0.212 0.080
F 0.752 0.288 0.580
F 0.856 0.679 0.056
F 0.856 0.821 0.556
! - E_form (eV/atom) = -3.51
! - spin magnetization (μB per atom) = 0.0000
! - space-group type = No. 14
! - DFT total energy (eV/atom) = -7.59



! r²SCAN MgSn5, relaxed; values from VASP
&SYSTEM
  ibrav = 0, nat = 6, ntyp = 2
/
ATOMIC_SPECIES
Mg 24.30 Mg.upf
Sn 118.71 Sn.upf
CELL_PARAMETERS angstrom
5.650 0.000 0.000
-2.825 4.893 0.000
0.000 0.000 5.617
ATOMIC_POSITIONS crystal
Mg 0.000 0.000 0.000
Sn 0.000 0.670 0.500
Sn 0.330 0.330 0.500
Sn 0.333 0.667 0.000
Sn 0.667 0.333 0.000
Sn 0.670 0.000 0.500
! - E_form (eV/atom) = 0.14
! - spin magnetization (μB per atom) = 0.0000
! - space-group type = No. 189
! - DFT total energy (eV/atom) = -21.18



! r²SCAN DyCo3B2, relaxed; values from VASP
&SYSTEM
  ibrav = 0, nat = 6, ntyp = 3
/
ATOMIC_SPECIES
Dy 162.50 Dy.upf
Co 58.93 Co.upf
B 10.81 B.upf
CELL_PARAMETERS angstrom
5.023 0.000 0.000
-2.511 4.350 0.000
0.000 0.000 2.928
ATOMIC_POSITIONS crystal
Dy 0.000 0.000 0.000
Co 0.000 0.500 0.500
Co 0.500 0.000 0.500
Co 0.500 0.500 0.500
B 0.333 0.667 0.000
B 0.667 0.333 0.000
! - E_form (eV/atom) = -0.42
! - spin magnetization (μB per atom) = 0.1467
! - space-group type = No. 191
! - DFT total energy (eV/atom) = -14.82



! r²SCAN SmAg3, relaxed; values from VASP
&SYSTEM
  ibrav = 0, nat = 16, ntyp = 2
/
ATOMIC_SPECIES
Sm 150.36 Sm.upf
Ag 107.87 Ag.upf
CELL_PARAMETERS angstrom
6.963 0.000 0.000
0.000 6.963 0.000
0.000 0.000 6.963
ATOMIC_POSITIONS crystal
Sm 0.000 0.000 0.000
Sm 0.000 0.500 0.500
Sm 0.500 0.000 0.500
Sm 0.500 0.500 0.000
Ag 0.000 0.000 0.500
Ag 0.000 0.500 0.000
Ag 0.250 0.250 0.250
Ag 0.250 0.250 0.750
Ag 0.250 0.750 0.250
Ag 0.250 0.750 0.750
Ag 0.500 0.000 0.000
Ag 0.500 0.500 0.500
Ag 0.750 0.250 0.250
Ag 0.750 0.250 0.750
Ag 0.750 0.750 0.250
Ag 0.750 0.750 0.750
! - E_form (eV/atom) = -0.20
! - spin magnetization (μB per atom) = 0.0000
! - space-group type = No. 225
! - DFT total energy (eV/atom) = -23.65



! r²SCAN CsYbF3, relaxed; values from VASP
&SYSTEM
  ibrav = 0, nat = 5, ntyp = 3
/
ATOMIC_SPECIES
Cs 132.91 Cs.upf
Yb 173.04 Yb.upf
F 19.00 F.upf
CELL_PARAMETERS angstrom
4.514 0.000 0.000
0.000 4.514 0.000
0.000 0.000 4.514
ATOMIC_POSITIONS crystal
Cs 0.000 0.000 0.000
Yb 0.500 0.500 0.500
F 0.000 0.500 0.500
F 0.500 0.000 0.500
F 0.500 0.500 0.000
! - E_form (eV/atom) = -3.21
! - spin magnetization (μB per atom) = 0.1539
! - space-group type = No. 221
! - DFT total energy (eV/atom) = -17.41



! r²SCAN La2Te3, relaxed; values from VASP
&SYSTEM
  ibrav = 0, nat = 40, ntyp = 2
/
ATOMIC_SPECIES
La 138.91 La.upf
Te 127.60 Te.upf
CELL_PARAMETERS angstrom
-4.852 4.852 14.594
4.852 -4.852 14.594
4.852 4.852 -14.594
ATOMIC_POSITIONS crystal
La 0.047 0.422 0.889
La 0.167 0.167 0.000
La 0.172 0.297 0.389
La 0.217 0.828 0.125
La 0.256 0.125 0.631
La 0.375 0.744 0.869
La 0.494 0.625 0.369
La 0.533 0.158 0.111
La 0.578 0.467 0.625
La 0.583 0.083 0.500
La 0.703 0.092 0.875
La 0.833 0.833 0.000
La 0.842 0.953 0.375
La 0.875 0.506 0.131
La 0.908 0.783 0.611
La 0.917 0.417 0.500
Te 0.005 0.108 0.247
Te 0.073 0.826 0.606
Te 0.174 0.780 0.247
Te 0.187 0.091 0.746
Te 0.191 0.595 0.754
Te 0.217 0.470 0.894
Te 0.220 0.467 0.394
Te 0.242 0.995 0.102
Te 0.345 0.441 0.254
Te 0.405 0.159 0.595
Te 0.508 0.111 0.253
Te 0.530 0.424 0.747
Te 0.533 0.927 0.753
Te 0.559 0.813 0.905
Te 0.563 0.809 0.405
Te 0.576 0.323 0.106
Te 0.677 0.783 0.253
Te 0.745 0.492 0.602
Te 0.841 0.437 0.246
Te 0.858 0.255 0.747
Te 0.861 0.758 0.753
Te 0.889 0.142 0.398
Te 0.892 0.139 0.898
Te 0.909 0.655 0.095
! - E_form (eV/atom) = -1.87
! - spin magnetization (μB per atom) = 0.0000
! - space-group type = No. 122
! - DFT total energy (eV/atom) = -29.02



! r²SCAN TbAlGa, relaxed; values from VASP
&SYSTEM
  ibrav = 0, nat = 3, ntyp = 3
/
ATOMIC_SPECIES
Tb 158.93 Tb.upf
Al 26.98 Al.upf
Ga 69.72 Ga.upf
CELL_PARAMETERS angstrom
4.421 0.000 0.000
-2.210 3.828 0.000
0.000 0.000 3.608
ATOMIC_POSITIONS crystal
Tb 0.000 0.000 0.000
Al 0.333 0.667 0.500
Ga 0.667 0.333 0.500
! - E_form (eV/atom) = -0.67
! - spin magnetization (μB per atom) = 0.0000
! - space-group type = No. 187
! - DFT total energy (eV/atom) = -17.13